No. 1
Entry from the Materials Project: a geometry-optimized Ce2InAu2 structure (PBE).

Cell: 8.0918 8.0918 3.8878 Å, 90.00 90.00 90.00°
Last column: nearest neighbours and their distance in Å.
Element x y z (fractional)
Ce 0.6746 0.1746 0.5000  6 Au 2.99-3.14
Ce 0.8254 0.6746 0.5000  6 Au 2.99-3.14
Ce 0.1746 0.3254 0.5000  6 Au 2.99-3.14
Ce 0.3254 0.8254 0.5000  6 Au 2.99-3.14
In 0.5000 0.5000 0.0000  4 Au 3.19, 8 Ce 3.56
In 0.0000 0.0000 0.0000  4 Au 3.19, 8 Ce 3.56
Au 0.3728 0.1272 0.0000  1 Au 2.91, 6 Ce 2.99-3.14, 2 In 3.19
Au 0.6272 0.8728 0.0000  1 Au 2.91, 6 Ce 2.99-3.14, 2 In 3.19
Au 0.1272 0.6272 0.0000  1 Au 2.91, 6 Ce 2.99-3.14, 2 In 3.19
Au 0.8728 0.3728 0.0000  1 Au 2.91, 6 Ce 2.99-3.14, 2 In 3.19

Output
Calculated formation energy, eV/atom: -0.67
Uncorrected energy, eV per atom: -4.904


No. 2
Entry from the Materials Project: a geometry-optimized CeIn4Au2 structure (PBE).

Cell: 4.7372 7.4745 18.8366 Å, 90.00 90.00 90.00°
Last column: nearest neighbours and their distance in Å.
Element x y z (fractional)
Au 0.7500 0.0315 0.2819  7 In 2.84-2.91
Au 0.7500 0.2589 0.5385  7 In 2.82-3.05
Au 0.2500 0.7411 0.4615  7 In 2.82-3.05
Au 0.7500 0.4685 0.7819  7 In 2.84-2.91
Au 0.2500 0.5315 0.2181  7 In 2.84-2.91
Au 0.7500 0.2411 0.0385  7 In 2.82-3.05
Au 0.2500 0.9685 0.7181  7 In 2.84-2.91
Au 0.2500 0.7589 0.9615  7 In 2.82-3.05
In 0.7500 0.7663 0.6886  3 Au 2.84-2.86, 2 In 3.03-3.08
In 0.2500 0.8218 0.3152  4 Au 2.82-2.91, 1 In 3.08
In 0.7500 0.9873 0.4322  4 Au 2.85-3.05
In 0.2500 0.2337 0.3114  3 Au 2.84-2.86, 2 In 3.03-3.08
In 0.7500 0.7337 0.1886  3 Au 2.84-2.86, 2 In 3.03-3.08
In 0.2500 0.3547 0.4649  3 Au 2.84-2.89, 1 In 3.03
In 0.7500 0.5127 0.9322  4 Au 2.85-3.05
In 0.7500 0.8547 0.0351  3 Au 2.84-2.89, 1 In 3.03
In 0.2500 0.4873 0.0678  4 Au 2.85-3.05
In 0.2500 0.1453 0.9649  3 Au 2.84-2.89, 1 In 3.03
In 0.7500 0.6453 0.5351  3 Au 2.84-2.89, 1 In 3.03
In 0.7500 0.3218 0.1848  4 Au 2.82-2.91, 1 In 3.08
In 0.7500 0.1782 0.6848  4 Au 2.82-2.91, 1 In 3.08
In 0.2500 0.0127 0.5678  4 Au 2.85-3.05
In 0.2500 0.6782 0.8152  4 Au 2.82-2.91, 1 In 3.08
In 0.2500 0.2663 0.8114  3 Au 2.84-2.86, 2 In 3.03-3.08
Ce 0.2500 0.0220 0.1406  9 In 3.33-3.61, 4 Au 3.46-3.56
Ce 0.2500 0.4780 0.6406  9 In 3.33-3.61, 4 Au 3.46-3.56
Ce 0.7500 0.5220 0.3594  9 In 3.33-3.61, 4 Au 3.46-3.56
Ce 0.7500 0.9780 0.8594  9 In 3.33-3.61, 4 Au 3.46-3.56

Output
Calculated formation energy, eV/atom: -0.39
Magnetization, μB/cell: 3.6
Uncorrected energy, eV per atom: -3.742


No. 3
Entry from the Materials Project: a geometry-optimized CeInAu2 structure (PBE).

Cell: 5.0537 5.0537 5.0537 Å, 60.00 60.00 60.00°
Last column: nearest neighbours and their distance in Å.
Element x y z (fractional)
In 0.5000 0.5000 0.5000  8 Au 3.09
Ce 0.0000 0.0000 0.0000  8 Au 3.09
Au 0.2500 0.2500 0.2500  4 In 3.09, 4 Ce 3.09
Au 0.7500 0.7500 0.7500  4 In 3.09, 4 Ce 3.09

Output
Calculated formation energy, eV/atom: -0.64
Uncorrected energy, eV per atom: -4.444


No. 4
Entry from the Materials Project: a geometry-optimized Ce3Mg2InAu3 structure (PBE).

Cell: 7.7016 7.7016 4.2571 Å, 90.00 90.00 119.27°
Last column: nearest neighbours and their distance in Å.
Element x y z (fractional)
Ce 0.5835 0.5835 0.0000  5 Au 3.16, 2 In 3.37, 4 Mg 3.53
Ce 0.9995 0.4133 0.0000  5 Au 3.12-3.23, 2 Mg 3.39
Ce 0.4133 0.9995 0.0000  5 Au 3.12-3.23, 2 Mg 3.39
Au 0.3357 0.6738 0.5000  2 Mg 2.95-2.98, 1 In 3.01, 6 Ce 3.12-3.19
Au 0.6738 0.3357 0.5000  2 Mg 2.95-2.98, 1 In 3.01, 6 Ce 3.12-3.19
Au 0.9892 0.9892 0.0000  4 Mg 2.81, 2 In 2.93
Mg 0.7569 0.0004 0.5000  4 Au 2.81-2.98
Mg 0.0004 0.7569 0.5000  4 Au 2.81-2.98
In 0.2475 0.2475 0.5000  4 Au 2.93-3.01

Output
Calculated formation energy, eV/atom: -0.59
Magnetization, μB/cell: 0.0
Uncorrected energy, eV per atom: -4.318


No. 5
Entry from the Materials Project: a geometry-optimized CeMgAu structure (PBE).

Cell: 7.6845 7.6845 4.2330 Å, 90.00 90.00 120.00°
Last column: nearest neighbours and their distance in Å.
Element x y z (fractional)
Au 0.6667 0.3333 0.5000  3 Mg 2.98, 6 Ce 3.13
Au 0.3333 0.6667 0.5000  3 Mg 2.98, 6 Ce 3.13
Au 0.0000 0.0000 0.0000  6 Mg 2.82
Mg 0.7582 0.7582 0.5000  4 Au 2.82-2.98
Mg 0.2418 0.0000 0.5000  4 Au 2.82-2.98
Mg 0.0000 0.2418 0.5000  4 Au 2.82-2.98
Ce 0.5841 0.0000 0.0000  5 Au 3.13-3.20, 6 Mg 3.38-3.49
Ce 0.0000 0.5841 0.0000  5 Au 3.13-3.20, 6 Mg 3.38-3.49
Ce 0.4159 0.4159 0.0000  5 Au 3.13-3.20, 6 Mg 3.38-3.49

Output
Calculated formation energy, eV/atom: -0.55
Uncorrected energy, eV per atom: -4.155


No. 6
Entry from the Materials Project: a geometry-optimized Ce2Mg5Au structure (PBE).

Cell: 8.8946 8.8946 8.8946 Å, 33.42 33.42 33.42°
Last column: nearest neighbours and their distance in Å.
Element x y z (fractional)
Au 0.5000 0.5000 0.5000  8 Mg 3.05-3.11
Mg 0.1285 0.1285 0.1285  3 Au 3.11, 4 Ce 3.11-3.19, 1 Mg 3.23
Mg 0.8715 0.8715 0.8715  3 Au 3.11, 4 Ce 3.11-3.19, 1 Mg 3.23
Mg 0.0000 0.0000 0.0000  8 Mg 3.17-3.23
Mg 0.6213 0.6213 0.6213  1 Au 3.05, 4 Ce 3.09-3.18, 3 Mg 3.17
Mg 0.3787 0.3787 0.3787  1 Au 3.05, 4 Ce 3.09-3.18, 3 Mg 3.17
Ce 0.7478 0.7478 0.7478  8 Mg 3.09-3.19
Ce 0.2522 0.2522 0.2522  8 Mg 3.09-3.19

Output
Calculated formation energy, eV/atom: -0.11
Magnetization, μB/cell: 1.9
Uncorrected energy, eV per atom: -3.006


No. 7
Entry from the Materials Project: a geometry-optimized Ce2P2AuO structure (PBE).

Cell: 4.1826 7.8384 7.8607 Å, 78.11 74.57 74.53°
Last column: nearest neighbours and their distance in Å.
Element x y z (fractional)
P 0.5500 0.3543 0.5458  1 P 2.21, 1 Au 2.47
P 0.4500 0.6457 0.4542  1 P 2.21, 1 Au 2.47
P 0.8505 0.2638 0.0352  2 Au 2.41
P 0.1495 0.7362 0.9648  2 Au 2.41
Ce 0.8696 0.9494 0.3114  3 O 2.37-2.38
Ce 0.1714 0.3875 0.2698  1 O 2.36
Ce 0.8286 0.6125 0.7302  1 O 2.36
Ce 0.1304 0.0506 0.6886  3 O 2.37-2.38
Au 0.5871 0.7007 0.1251  3 P 2.41-2.47
Au 0.4129 0.2993 0.8749  3 P 2.41-2.47
O 0.7251 0.9228 0.6269  4 Ce 2.36-2.38
O 0.2749 0.0772 0.3731  4 Ce 2.36-2.38

Output
Calculated formation energy, eV/atom: -1.77
Magnetization, μB/cell: 3.5
Uncorrected energy, eV per atom: -6.809


No. 8
Entry from the Materials Project: a geometry-optimized CePbAu structure (PBE).

Cell: 4.9460 4.9460 7.4759 Å, 90.00 90.00 120.00°
Last column: nearest neighbours and their distance in Å.
Element x y z (fractional)
Pb 0.6667 0.3333 0.2500  3 Au 2.86
Pb 0.3333 0.6667 0.7500  3 Au 2.86
Au 0.3333 0.6667 0.2500  3 Pb 2.86
Au 0.6667 0.3333 0.7500  3 Pb 2.86
Ce 0.0000 0.0000 0.5000  6 Pb 3.41, 6 Au 3.41, 2 Ce 3.74
Ce 0.0000 0.0000 0.0000  6 Pb 3.41, 6 Au 3.41, 2 Ce 3.74

Output
Calculated formation energy, eV/atom: -0.50
Magnetization, μB/cell: 2.3
Uncorrected energy, eV per atom: -4.805


No. 9
Entry from the Materials Project: a geometry-optimized CePbAu2 structure (PBE).

Cell: 5.1345 5.1345 5.1345 Å, 60.00 60.00 60.00°
Last column: nearest neighbours and their distance in Å.
Element x y z (fractional)
Pb 0.0000 0.0000 0.0000  8 Au 3.14
Ce 0.5000 0.5000 0.5000  8 Au 3.14
Au 0.7500 0.7500 0.7500  4 Ce 3.14, 4 Pb 3.14
Au 0.2500 0.2500 0.2500  4 Pb 3.14, 4 Ce 3.14

Output
Calculated formation energy, eV/atom: -0.56
Uncorrected energy, eV per atom: -4.608


No. 10
Entry from the Materials Project: a geometry-optimized CePt2Au3 structure (PBE).

Cell: 5.4762 5.4762 5.4762 Å, 119.93 119.22 90.74°
Last column: nearest neighbours and their distance in Å.
Element x y z (fractional)
Pt 0.1249 0.3741 0.7508  4 Au 2.73-2.75, 2 Pt 2.76-2.78
Pt 0.6234 0.3741 0.2492  4 Au 2.73-2.75, 2 Pt 2.76-2.78
Au 0.6234 0.8722 0.2489  2 Au 2.73-2.75, 4 Pt 2.73-2.75
Au 0.2490 0.7490 0.5000  6 Au 3.19-3.24, 6 Pt 3.20-3.22, 4 Ce 3.32-3.40
Au 0.6234 0.3745 0.7511  2 Au 2.73-2.75, 4 Pt 2.73-2.75
Ce 0.0059 0.0059 0.0000  6 Pt 3.15-3.24, 10 Au 3.22-3.40

Output
Calculated formation energy, eV/atom: -0.58
Uncorrected energy, eV per atom: -5.233


No. 11
Entry from the Materials Project: a geometry-optimized CeUPt8Au2 structure (PBE).

Cell: 9.2630 9.2630 9.2630 Å, 33.59 33.59 33.59°
Last column: nearest neighbours and their distance in Å.
Element x y z (fractional)
Ce 0.9999 0.9999 0.9999  12 Pt 3.14-3.16, 4 Au 3.28
Au 0.3752 0.3752 0.3752  12 Pt 3.14-3.16, 1 U 3.27, 3 Ce 3.28
Au 0.8748 0.8748 0.8748  12 Pt 3.11-3.14, 3 U 3.28, 1 Ce 3.28
Pt 0.1877 0.1877 0.1877  6 Pt 2.66-2.67
Pt 0.9369 0.4404 0.9369  6 Pt 2.66-2.70
Pt 0.4368 0.9366 0.4368  6 Pt 2.66-2.69
Pt 0.4368 0.4368 0.9366  6 Pt 2.66-2.69
Pt 0.9369 0.9369 0.4404  6 Pt 2.66-2.70
Pt 0.6876 0.6876 0.6876  6 Pt 2.68-2.69
Pt 0.4404 0.9369 0.9369  6 Pt 2.66-2.70
Pt 0.9366 0.4368 0.4368  6 Pt 2.66-2.69
U 0.5002 0.5002 0.5002  12 Pt 3.12-3.14, 4 Au 3.27-3.28

Output
Calculated formation energy, eV/atom: -1.00
Magnetization, μB/cell: 0.1
Uncorrected energy, eV per atom: -7.028